w.
Crystalline MgZn4Co6O16 at its relaxed geometry. Source: Materials Project, functional GGA+U.

abc: 5.9078 5.8887 9.6437
angles: 90.43 90.06 120.80
Last column: nearest neighbours and their distance in Å.
Fractional coordinates of all 27 atoms:
Mg  0.9914  0.9900  0.0289  4 O 1.84-1.98
Zn  0.6815  0.3357  0.0279  6 O 2.06-2.21
Zn  0.3195  0.6620  0.5323  6 O 2.03-2.22
Zn  0.6614  0.3346  0.4234  4 O 1.94-1.99
Zn  0.3438  0.6693  0.9220  4 O 1.95-2.14
Co  0.6652  0.8306  0.2639  6 O 1.92-2.10
Co  0.8332  0.1686  0.7404  3 O 1.79-1.91
Co  0.1668  0.3347  0.2522  6 O 1.89-1.96
Co  0.8309  0.6698  0.7336  4 O 1.78-1.91
Co  0.3340  0.1725  0.7337  5 O 1.88-2.06
Co  0.1691  0.8329  0.2522  6 O 1.87-1.96
O  0.8493  0.1588  0.1459  2 Co 1.91-2.02, 1 Mg 1.95, 1 Zn 2.11
O  0.6692  0.8688  0.6395  1 Co 1.79
O  0.1620  0.3252  0.6443  2 Co 1.88-1.91, 1 Zn 2.03
O  0.8554  0.6784  0.1454  2 Co 1.89-2.10, 1 Mg 1.95, 1 Zn 2.06
O  0.3130  0.1571  0.1466  2 Co 1.94-1.95, 1 Mg 1.98
O  0.1293  0.8147  0.6367  1 Co 1.78
O  0.5546  0.5117  0.8663  1 Co 1.91, 1 Zn 1.97
O  0.0332  0.5155  0.3586  2 Co 1.91-1.92, 1 Zn 1.99
O  0.4646  0.9642  0.3688  2 Co 1.87-2.00, 1 Zn 1.94
O  0.5145  0.0390  0.8648  2 Zn 1.96-2.17, 2 Co 2.03-2.06
O  0.0211  0.0104  0.3496  3 Co 1.90-1.98
O  0.0011  0.9823  0.8382  1 Mg 1.84, 3 Co 1.87-2.05
O  0.3228  0.6618  0.1440  3 Co 1.96-2.08, 1 Zn 2.14
O  0.9747  0.4481  0.8683  1 Co 1.87, 1 Zn 1.95
O  0.4688  0.5096  0.3671  2 Co 1.89-1.92, 1 Zn 1.96
O  0.6695  0.3537  0.6281  3 Co 1.89-2.10, 1 Zn 1.98

Results
* crystal system: triclinic
* size of the total moment: 12.2 μB/cell


x.
Crystalline MgZn4Co6O16 at its relaxed geometry. Source: Materials Project, functional GGA+U.

abc: 5.7763 5.8915 9.9824
angles: 87.78 91.09 119.54
Last column: nearest neighbours and their distance in Å.
Fractional coordinates of all 27 atoms:
Mg  0.6503  0.2821  0.9717  5 O 1.99-2.09
Zn  0.7090  0.3974  0.2187  5 O 1.95-2.17
Zn  0.3055  0.6489  0.5090  6 O 2.09-2.31
Zn  0.6562  0.3080  0.4518  3 O 1.87-2.05
Zn  0.3295  0.6441  0.9174  4 O 1.97-2.08
Co  0.6885  0.8664  0.2314  6 O 1.97-2.09
Co  0.8188  0.1418  0.7306  6 O 1.85-1.96
Co  0.1842  0.3534  0.2304  6 O 1.96-2.06
Co  0.8247  0.6598  0.7301  5 O 1.78-1.97
Co  0.3037  0.1453  0.7292  6 O 1.88-2.10
Co  0.1916  0.8769  0.2209  5 O 1.84-1.97
O  0.8496  0.1951  0.1241  2 Co 1.97-1.99, 1 Zn 2.01, 1 Mg 2.09
O  0.6672  0.8386  0.6351  2 Co 1.85-1.92
O  0.1351  0.3004  0.6306  2 Co 1.88
O  0.8827  0.7331  0.1219  2 Co 1.84-2.01, 1 Zn 1.95
O  0.3684  0.2098  0.1170  2 Co 1.97-2.03, 1 Zn 2.00, 1 Mg 2.07
O  0.1185  0.8012  0.6311  1 Co 1.78
O  0.5211  0.4773  0.8433  2 Co 1.90-2.10, 1 Zn 1.97, 1 Mg 2.05
O  0.0188  0.5028  0.3575  3 Zn 2.05-2.09, 1 Co 2.06
O  0.4793  0.9719  0.3532  2 Co 1.97-2.04, 1 Zn 2.01
O  0.5027  0.0028  0.8385  2 Co 1.92-2.01, 1 Zn 1.98, 1 Mg 1.99
O  0.0332  0.0124  0.3256  3 Co 1.84-1.97
O  0.9595  0.9595  0.8306  3 Co 1.87-2.00
O  0.3432  0.7030  0.1217  3 Co 1.95-2.06, 1 Zn 2.08
O  0.9603  0.4504  0.8406  2 Co 1.96-2.04, 1 Zn 2.01, 1 Mg 2.03
O  0.5040  0.5244  0.3511  2 Co 2.01-2.09, 2 Zn 2.09-2.17
O  0.6610  0.3264  0.6381  1 Zn 1.87, 3 Co 1.93-2.01

Results
* crystal system: triclinic
* size of the total moment: 16.0 μB/cell


Energy relative to the most stable one, in kJ/mol of atoms: w 0.0; x 5.3